[1]
# MgV5O12

A geometry-optimized MgV5O12 structure (PBE+U, the Materials Project database).

Results
ΔE to the lowest computed polymorph: 50 meV/atom
Magnetic moment: 3.0 μB/f.u.
SG: P1 (1)

a = 5.0173 Å, b = 5.1237 Å, c = 9.1397 Å
α = 93.83°, β = 90.44°, γ = 109.74°
Element x y z (fractional)
Mg 0.0000 0.0000 0.0000
V 0.0139 0.4474 0.2433
V 0.1462 0.9016 0.4482
V 0.1725 0.2515 0.7082
V 0.5710 0.9006 0.7418
V 0.6197 0.3750 0.9997
O 0.1063 0.1535 0.3495
O 0.2480 0.5783 0.6440
O 0.3219 0.3621 0.0968
O 0.3258 0.0693 0.8561
O 0.3321 0.7395 0.3278
O 0.4224 0.0970 0.5853
O 0.6282 0.6663 0.8632
O 0.7594 0.1556 0.1337
O 0.8352 0.5542 0.3833
O 0.8611 0.2232 0.8463
O 0.8888 0.9494 0.6071
O 0.9469 0.6531 0.0964


[2]
# Mg3V2O7

A geometry-optimized Mg3V2O7 structure (PBE+U, the Materials Project database).

Results
Magnetic moment: 2.0 μB/f.u.
SG: Cmc2_1 (36)

a = 9.2031 Å, b = 9.2031 Å, c = 5.3525 Å
α = 90.00°, β = 90.00°, γ = 32.74°
Element x y z (fractional)
Mg 0.0446 0.5703 0.6172
Mg 0.2468 0.7532 0.5000
Mg 0.4297 0.9554 0.6172
Mg 0.5703 0.0446 0.1172
Mg 0.7532 0.2468 0.0000
Mg 0.9554 0.4297 0.1172
V 0.1444 0.6461 0.0540
V 0.3539 0.8556 0.0540
V 0.6461 0.1444 0.5540
V 0.8556 0.3539 0.5540
O 0.0059 0.1513 0.2319
O 0.0707 0.3397 0.4961
O 0.1513 0.0059 0.7319
O 0.3044 0.4338 0.3590
O 0.3397 0.0707 0.9961
O 0.3681 0.6319 0.1101
O 0.4338 0.3044 0.8590
O 0.5662 0.6956 0.3590
O 0.6319 0.3681 0.6101
O 0.6603 0.9293 0.4961
O 0.6956 0.5662 0.8590
O 0.8487 0.9941 0.2319
O 0.9293 0.6603 0.9961
O 0.9941 0.8487 0.7319


[3]
# Mg3V2O8

A geometry-optimized Mg3V2O8 structure (PBE+U, the Materials Project database).

Results
ΔE to the lowest computed polymorph: 0 meV/atom
SG: Cmce (64)

a = 6.5668 Å, b = 6.5668 Å, c = 8.4235 Å
α = 90.00°, β = 90.00°, γ = 124.39°
Element x y z (fractional)
Mg 0.0000 0.0000 0.0000
Mg 0.1142 0.3858 0.2500
Mg 0.3858 0.1142 0.7500
Mg 0.5000 0.5000 0.5000
Mg 0.6142 0.8858 0.2500
Mg 0.8858 0.6142 0.7500
V 0.1200 0.8800 0.3804
V 0.3800 0.6200 0.8804
V 0.6200 0.3800 0.1196
V 0.8800 0.1200 0.6196
O 0.0027 0.9973 0.7551
O 0.1121 0.3462 0.5000
O 0.1538 0.3879 0.0000
O 0.2491 0.7509 0.2747
O 0.2509 0.7491 0.7747
O 0.3462 0.1121 0.5000
O 0.3879 0.1538 0.0000
O 0.4973 0.5027 0.2551
O 0.5027 0.4973 0.7449
O 0.6121 0.8462 0.0000
O 0.6538 0.8879 0.5000
O 0.7491 0.2509 0.2253
O 0.7509 0.2491 0.7253
O 0.8462 0.6121 0.0000
O 0.8879 0.6538 0.5000
O 0.9973 0.0027 0.2449


DFT formation energy values, unit eV/atom, following the record order: -2.412, -2.745, -2.760.
Final energy values, unit eV per atom, following the record order: -7.39, -6.86, -6.89.